Record 1
# SnCl4 | Materials Project | PBE | relaxed
# crystal system = monoclinic
data_SnCl4
_chemical_formula_sum 'Sn4 Cl16'
_symmetry_space_group_name_H-M 'P 1 21/c 1'
_symmetry_Int_Tables_number 14
_cell_length_a 10.7797
_cell_length_b 7.2684
_cell_length_c 10.8871
_cell_angle_alpha 90.00
_cell_angle_beta 103.12
_cell_angle_gamma 90.00
loop_
_symmetry_equiv_pos_as_xyz
'x,y,z'
'-x,-y,-z'
'-x,y+1/2,-z+1/2'
'x,-y+1/2,z+1/2'
loop_
_atom_site_label
_atom_site_type_symbol
_atom_site_fract_x
_atom_site_fract_y
_atom_site_fract_z
Sn1 Sn 0.2483 0.0761 0.3687
Cl1 Cl 0.0739 0.0742 0.1990
Cl2 Cl 0.1969 0.5733 0.0384
Cl3 Cl 0.3070 0.1231 0.9239
Cl4 Cl 0.4160 0.5750 0.8112

=====

Record 2
# Li2InPb | Materials Project | PBE | relaxed
# crystal system = cubic
data_Li2InPb
_chemical_formula_sum 'Li8 In4 Pb4'
_symmetry_space_group_name_H-M 'F m -3 m'
_symmetry_Int_Tables_number 225
_symmetry_space_group_name_Hall '-F 4 2 3'
_cell_length_a 6.9376
_cell_length_b 6.9376
_cell_length_c 6.9376
_cell_angle_alpha 90.00
_cell_angle_beta 90.00
_cell_angle_gamma 90.00
loop_
_atom_site_label
_atom_site_type_symbol
_atom_site_fract_x
_atom_site_fract_y
_atom_site_fract_z
Li1 Li 0.2500 0.2500 0.2500
In1 In 0.0000 0.0000 0.0000
Pb1 Pb 0.0000 0.0000 0.5000

=====

What did we get for total DFT energy (no corrections)? Answer: -64.33 -45.31 eV per cell, in the order shown.